(1)
Sr2EuBiO6 | GGA-PBE | relaxed

Lattice parameters (Å, degrees): 8.639 8.639 8.639 90.00 90.00 90.00
Atoms (fractional coordinates):
Sr  0.500  0.500  0.500
Sr  0.000  0.000  0.000
Sr  0.000  0.000  0.500
Sr  0.000  0.500  0.000
Sr  0.500  0.000  0.000
Sr  0.500  0.500  0.000
Sr  0.500  0.000  0.500
Sr  0.000  0.500  0.500
Eu  0.250  0.250  0.250
Eu  0.250  0.750  0.750
Eu  0.750  0.250  0.750
Eu  0.750  0.750  0.250
Bi  0.750  0.750  0.750
Bi  0.750  0.250  0.250
Bi  0.250  0.750  0.250
Bi  0.250  0.250  0.750
O  0.213  0.296  0.509
O  0.213  0.704  0.491
O  0.787  0.296  0.491
O  0.787  0.704  0.509
O  0.296  0.509  0.213
O  0.704  0.491  0.213
O  0.296  0.491  0.787
O  0.704  0.509  0.787
O  0.509  0.213  0.296
O  0.491  0.213  0.704
O  0.491  0.787  0.296
O  0.509  0.787  0.704
O  0.287  0.204  0.991
O  0.287  0.796  0.009
O  0.713  0.204  0.009
O  0.713  0.796  0.991
O  0.204  0.991  0.287
O  0.796  0.009  0.287
O  0.204  0.009  0.713
O  0.796  0.991  0.713
O  0.991  0.287  0.204
O  0.009  0.287  0.796
O  0.009  0.713  0.204
O  0.991  0.713  0.796

Output
- total energy after the MP2020 corrections (eV/f.u.) = -73.1
- total magnetic moment (Bohr magnetons per cell) = 24.00

=====

(2)
Eu2BiS4 | GGA-PBE | relaxed

Lattice parameters (Å, degrees): 4.067 11.591 14.646 90.00 90.00 90.00
Atoms (fractional coordinates):
Eu  0.250  0.772  0.155
Eu  0.250  0.272  0.345
Eu  0.750  0.228  0.845
Eu  0.750  0.728  0.655
Eu  0.250  0.611  0.403
Eu  0.250  0.111  0.097
Eu  0.750  0.389  0.597
Eu  0.750  0.889  0.903
Bi  0.250  0.564  0.892
Bi  0.250  0.064  0.608
Bi  0.750  0.436  0.108
Bi  0.750  0.936  0.392
S  0.250  0.515  0.212
S  0.250  0.015  0.288
S  0.750  0.485  0.788
S  0.750  0.985  0.712
S  0.250  0.762  0.799
S  0.250  0.262  0.701
S  0.750  0.238  0.201
S  0.750  0.738  0.299
S  0.250  0.561  0.595
S  0.250  0.061  0.905
S  0.750  0.439  0.405
S  0.750  0.939  0.095
S  0.250  0.828  0.517
S  0.250  0.328  0.983
S  0.750  0.172  0.483
S  0.750  0.672  0.017

Output
- total energy after the MP2020 corrections (eV/f.u.) = -52.7

=====

(3)
Eu2ZnBi2 | GGA-PBE | relaxed

Lattice parameters (Å, degrees): 4.845 4.845 8.207 90.00 90.00 120.08
Atoms (fractional coordinates):
Eu  0.000  0.000  0.524
Eu  0.000  0.000  0.976
Zn  0.667  0.333  0.250
Bi  0.667  0.333  0.750
Bi  0.334  0.666  0.250

Output
- total magnetic moment (Bohr magnetons per cell) = 13.93

=====

(4)
BiF5 | GGA-PBE | relaxed

Lattice parameters (Å, degrees): 6.102 6.102 8.931 90.00 90.00 143.52
Atoms (fractional coordinates):
Bi  0.500  0.500  0.500
Bi  0.500  0.500  0.000
F  0.508  0.492  0.250
F  0.492  0.508  0.750
F  0.927  0.073  0.592
F  0.073  0.927  0.408
F  0.667  0.333  0.936
F  0.333  0.667  0.064
F  0.333  0.667  0.436
F  0.667  0.333  0.564
F  0.927  0.073  0.908
F  0.073  0.927  0.092

Output
- total energy after the MP2020 corrections (eV/f.u.) = -25.5
- total magnetic moment (Bohr magnetons per cell) = 0.00
- energy above the lowest structure with this stoichiometry (meV/atom) = 127

=====

(5)
BiF5 | GGA-PBE | relaxed

Lattice parameters (Å, degrees): 10.282 5.641 8.320 68.45 90.00 90.00
Atoms (fractional coordinates):
Bi  0.752  0.119  0.597
Bi  0.252  0.881  0.903
Bi  0.248  0.881  0.403
Bi  0.748  0.119  0.097
F  0.875  0.409  0.567
F  0.375  0.591  0.933
F  0.125  0.591  0.433
F  0.625  0.409  0.067
F  0.610  0.367  0.483
F  0.110  0.633  0.017
F  0.390  0.633  0.517
F  0.890  0.367  0.983
F  0.396  0.128  0.792
F  0.896  0.872  0.708
F  0.604  0.872  0.208
F  0.104  0.128  0.292
F  0.131  0.175  0.872
F  0.631  0.825  0.628
F  0.869  0.825  0.128
F  0.369  0.175  0.372
F  0.686  0.117  0.846
F  0.186  0.883  0.654
F  0.314  0.883  0.154
F  0.814  0.117  0.346

Output
- total energy after the MP2020 corrections (eV/f.u.) = -26.2
- energy above the lowest structure with this stoichiometry (meV/atom) = 4

=====

(6)
BiF5 | GGA-PBE | relaxed

Lattice parameters (Å, degrees): 5.661 5.675 8.233 98.04 108.08 110.56
Atoms (fractional coordinates):
Bi  0.995  0.000  0.999
Bi  0.500  0.001  0.499
F  0.344  0.094  0.248
F  0.648  0.907  0.750
F  0.601  0.740  0.376
F  0.862  0.228  0.123
F  0.757  0.689  0.052
F  0.133  0.714  0.447
F  0.236  0.311  0.949
F  0.868  0.285  0.549
F  0.123  0.770  0.873
F  0.402  0.264  0.621

Output
- total energy after the MP2020 corrections (eV/f.u.) = -26.2
- total magnetic moment (Bohr magnetons per cell) = 0.00
- energy above the lowest structure with this stoichiometry (meV/atom) = 6

=====

(7)
BiF5 | GGA-PBE | relaxed

Lattice parameters (Å, degrees): 5.353 5.353 5.353 99.52 99.52 132.00
Atoms (fractional coordinates):
Bi  0.000  0.000  0.000
F  0.094  0.275  0.369
F  0.500  0.500  0.000
F  0.906  0.725  0.631
F  0.725  0.094  0.818
F  0.275  0.906  0.182

Output
- total energy after the MP2020 corrections (eV/f.u.) = -26.2
- energy above the lowest structure with this stoichiometry (meV/atom) = 0

=====

(8)
BiF5 | GGA-PBE | relaxed

Lattice parameters (Å, degrees): 5.661 5.675 8.215 107.98 97.79 110.56
Atoms (fractional coordinates):
Bi  0.000  0.000  0.000
Bi  0.500  0.000  0.500
F  0.656  0.906  0.248
F  0.344  0.094  0.752
F  0.399  0.260  0.376
F  0.138  0.772  0.123
F  0.243  0.311  0.052
F  0.867  0.286  0.447
F  0.757  0.689  0.948
F  0.133  0.714  0.553
F  0.862  0.228  0.877
F  0.601  0.740  0.624

Output
- total energy after the MP2020 corrections (eV/f.u.) = -21.0
- total magnetic moment (Bohr magnetons per cell) = 0.00
- energy above the lowest structure with this stoichiometry (meV/atom) = 865

=====

(9)
BiF5 | GGA-PBE | relaxed

Lattice parameters (Å, degrees): 5.585 5.585 5.585 139.29 129.64 66.67
Atoms (fractional coordinates):
Bi  0.000  0.000  0.000
F  0.761  0.500  0.261
F  0.239  0.500  0.739
F  0.216  0.216  0.000
F  0.784  0.784  0.000
F  0.500  0.000  0.500

Output
- total energy after the MP2020 corrections (eV/f.u.) = -25.1
- total magnetic moment (Bohr magnetons per cell) = 0.00
- energy above the lowest structure with this stoichiometry (meV/atom) = 190

=====

(10)
K2HgBiF6 | GGA-PBE | relaxed

Lattice parameters (Å, degrees): 6.804 6.804 6.804 60.00 60.00 60.00
Atoms (fractional coordinates):
K  0.750  0.750  0.750
K  0.250  0.250  0.250
Hg  0.500  0.500  0.500
Bi  0.000  0.000  0.000
F  0.766  0.234  0.234
F  0.234  0.234  0.766
F  0.234  0.766  0.766
F  0.234  0.766  0.234
F  0.766  0.234  0.766
F  0.766  0.766  0.234

Output
- total energy after the MP2020 corrections (eV/f.u.) = -42.3
- total magnetic moment (Bohr magnetons per cell) = 0.05

=====

(11)
Rb2HgBiF6 | GGA-PBE | relaxed

Lattice parameters (Å, degrees): 6.851 6.851 6.851 60.00 60.00 60.00
Atoms (fractional coordinates):
Rb  0.750  0.750  0.750
Rb  0.250  0.250  0.250
Hg  0.500  0.500  0.500
Bi  0.000  0.000  0.000
F  0.767  0.233  0.233
F  0.233  0.233  0.767
F  0.233  0.767  0.767
F  0.233  0.767  0.233
F  0.767  0.233  0.767
F  0.767  0.767  0.233

Output
- total energy after the MP2020 corrections (eV/f.u.) = -42.4
- total magnetic moment (Bohr magnetons per cell) = 0.01

=====

(12)
Rb2InBiF6 | GGA-PBE | relaxed

Lattice parameters (Å, degrees): 6.896 6.896 6.896 60.00 60.00 60.00
Atoms (fractional coordinates):
Rb  0.750  0.750  0.750
Rb  0.250  0.250  0.250
In  0.500  0.500  0.500
Bi  0.000  0.000  0.000
F  0.766  0.234  0.234
F  0.234  0.234  0.766
F  0.234  0.766  0.766
F  0.234  0.766  0.234
F  0.766  0.234  0.766
F  0.766  0.766  0.234

Output
- total energy after the MP2020 corrections (eV/f.u.) = -46.6
- total magnetic moment (Bohr magnetons per cell) = 0.00

=====

(13)
KBiF4 | GGA-PBE | relaxed

Lattice parameters (Å, degrees): 8.376 8.376 8.376 60.00 60.00 60.00
Atoms (fractional coordinates):
K  0.625  0.625  0.625
K  0.625  0.125  0.625
K  0.125  0.625  0.625
K  0.625  0.625  0.125
Bi  0.125  0.125  0.125
Bi  0.625  0.125  0.125
Bi  0.125  0.625  0.125
Bi  0.125  0.125  0.625
F  0.500  0.500  0.500
F  0.782  0.218  0.218
F  0.468  0.032  0.468
F  0.468  0.032  0.032
F  0.468  0.468  0.032
F  0.250  0.250  0.250
F  0.782  0.218  0.782
F  0.750  0.750  0.750
F  0.218  0.218  0.782
F  0.032  0.468  0.468
F  0.218  0.782  0.218
F  0.782  0.782  0.218
F  0.032  0.468  0.032
F  0.000  0.000  0.000
F  0.218  0.782  0.782
F  0.032  0.032  0.468

Output
- total energy after the MP2020 corrections (eV/f.u.) = -29.8
- total magnetic moment (Bohr magnetons per cell) = 0.00

=====

(14)
K3BiF6 | GGA-PBE | relaxed

Lattice parameters (Å, degrees): 6.783 6.783 6.783 60.00 60.00 60.00
Atoms (fractional coordinates):
K  0.250  0.250  0.250
K  0.750  0.750  0.750
K  0.500  0.500  0.500
Bi  0.000  0.000  0.000
F  0.236  0.764  0.236
F  0.764  0.764  0.236
F  0.764  0.236  0.764
F  0.764  0.236  0.236
F  0.236  0.764  0.764
F  0.236  0.236  0.764

Output
- total energy after the MP2020 corrections (eV/f.u.) = -47.3
- total magnetic moment (Bohr magnetons per cell) = 0.00

=====

(15)
K2BiF5 | GGA-PBE | relaxed

Lattice parameters (Å, degrees): 6.710 7.567 11.611 90.00 90.00 90.00
Atoms (fractional coordinates):
K  0.993  0.001  0.331
K  0.993  0.499  0.331
K  0.493  0.501  0.169
K  0.507  0.499  0.831
K  0.007  0.501  0.669
K  0.507  0.001  0.831
K  0.493  0.999  0.169
K  0.007  0.999  0.669
Bi  0.062  0.250  0.955
Bi  0.438  0.250  0.455
Bi  0.562  0.750  0.545
Bi  0.938  0.750  0.045
F  0.775  0.750  0.215
F  0.888  0.455  0.093
F  0.692  0.250  0.329
F  0.612  0.455  0.593
F  0.388  0.545  0.407
F  0.725  0.750  0.715
F  0.891  0.750  0.489
F  0.609  0.750  0.989
F  0.275  0.250  0.285
F  0.888  0.045  0.093
F  0.308  0.750  0.671
F  0.808  0.250  0.829
F  0.225  0.250  0.785
F  0.388  0.955  0.407
F  0.391  0.250  0.011
F  0.109  0.250  0.511
F  0.612  0.045  0.593
F  0.112  0.955  0.907
F  0.192  0.750  0.171
F  0.112  0.545  0.907

Output
- total energy after the MP2020 corrections (eV/f.u.) = -39.2

=====

(16)
KBiF4 | GGA-PBE | relaxed

Lattice parameters (Å, degrees): 4.464 4.464 14.450 77.16 77.16 52.71
Atoms (fractional coordinates):
K  0.034  0.034  0.998
K  0.767  0.767  0.742
Bi  0.564  0.564  0.495
Bi  0.275  0.275  0.238
F  0.068  0.068  0.821
F  0.091  0.091  0.408
F  0.068  0.068  0.597
F  0.793  0.793  0.545
F  0.909  0.909  0.178
F  0.780  0.780  0.362
F  0.551  0.551  0.253
F  0.310  0.310  0.075

Output
- total energy after the MP2020 corrections (eV/f.u.) = -29.1
- total magnetic moment (Bohr magnetons per cell) = 0.00

=====

(17)
KBi3F10 | GGA-PBE | relaxed

Lattice parameters (Å, degrees): 8.559 8.559 8.559 60.00 60.00 60.00
Atoms (fractional coordinates):
K  0.250  0.250  0.250
K  0.750  0.750  0.750
Bi  0.759  0.241  0.241
Bi  0.241  0.759  0.759
Bi  0.241  0.759  0.241
Bi  0.759  0.241  0.759
Bi  0.241  0.241  0.759
Bi  0.759  0.759  0.241
F  0.831  0.500  0.500
F  0.169  0.500  0.500
F  0.500  0.831  0.169
F  0.500  0.169  0.831
F  0.500  0.831  0.500
F  0.169  0.500  0.831
F  0.500  0.169  0.500
F  0.831  0.500  0.169
F  0.500  0.500  0.831
F  0.500  0.500  0.169
F  0.169  0.831  0.500
F  0.831  0.169  0.500
F  0.115  0.115  0.115
F  0.885  0.885  0.885
F  0.115  0.115  0.655
F  0.115  0.655  0.115
F  0.885  0.885  0.345
F  0.885  0.345  0.885
F  0.655  0.115  0.115
F  0.345  0.885  0.885

Output
- total energy after the MP2020 corrections (eV/f.u.) = -71.7

=====

no.,formation energy from the elements (eV per atom)
1,-2.59
2,-1.68
3,-0.59
4,-2.00
5,-2.12
6,-2.12
7,-2.13
8,-1.26
9,-1.94
10,-2.44
11,-2.47
12,-2.65
13,-2.85
14,-2.86
15,-2.94
16,-2.75
17,-2.84